KNa2TaF6: relaxed, PBE.

Unit cell a=9.220 b=9.220 c=9.220 alpha=90.00 beta=90.00 gamma=90.00
Space group Fm-3m (No. 225)
Symmetry-distinct sites (fractional):
K: 0.000 0.000 0.000 (multiplicity 4)
Na: 0.250 0.250 0.250 (multiplicity 8)
Ta: 0.000 0.000 0.500 (multiplicity 4)
F: 0.000 0.000 0.280 (multiplicity 24)

Values from the calculation:
ρ: 3.22 g/cm3
ΔE_f: -2758.5 meV/atom
DFT total energy: -5.191 eV/atom